! BaTb2Mn2O7 (PBE+U, optimized geometry); values from VASP
&SYSTEM
  ibrav = 0, nat = 12, ntyp = 4
/
ATOMIC_SPECIES
Mn 54.94 Mn.upf
Tb 158.93 Tb.upf
O 16.00 O.upf
Ba 137.33 Ba.upf
CELL_PARAMETERS angstrom
-1.970 1.970 10.052
1.970 -1.970 10.052
1.970 1.970 -10.052
ATOMIC_POSITIONS crystal
Mn 0.103 0.103 0.000
Tb 0.317 0.317 0.000
O 0.888 0.388 0.500
O 0.000 0.000 0.000
Tb 0.683 0.683 0.000
O 0.388 0.888 0.500
Ba 0.500 0.500 0.000
O 0.612 0.112 0.500
O 0.209 0.209 0.000
O 0.112 0.612 0.500
O 0.791 0.791 0.000
Mn 0.897 0.897 0.000
! - E: -7.6469 eV per atom
! - SG: I4/mmm
! - Crystal system: tetragonal
! - E above lowest polymorph: 35 meV per atom
! - Energy of formation: -2.980 eV per atom

=====

! Li3V3P8O29 (PBE+U, optimized geometry); values from VASP
&SYSTEM
  ibrav = 0, nat = 86, ntyp = 4
/
ATOMIC_SPECIES
V 50.94 V.upf
O 16.00 O.upf
P 30.97 P.upf
Li 6.94 Li.upf
CELL_PARAMETERS angstrom
9.736 0.000 0.000
4.849 8.477 0.000
0.042 0.068 14.273
ATOMIC_POSITIONS crystal
V 0.565 0.999 0.257
O 0.203 0.003 0.244
O 0.213 0.799 0.759
P 0.329 0.341 0.629
O 0.085 0.258 0.329
P 0.697 0.222 0.344
O 0.181 0.334 0.173
O 0.922 0.463 0.673
P 0.307 0.775 0.661
O 0.239 0.754 0.932
O 0.803 0.995 0.577
O 0.669 0.665 0.473
O 0.260 0.079 0.833
P 0.334 0.332 0.134
O 0.246 0.995 0.068
Li 0.084 0.226 0.058
O 0.671 0.813 0.324
O 0.655 0.088 0.331
O 0.801 0.987 0.758
P 0.772 0.314 0.159
O 0.019 0.232 0.934
P 0.912 0.774 0.163
V 0.567 0.430 0.746
O 0.814 0.517 0.324
Li 0.093 0.675 0.559
O 0.789 0.204 0.429
O 0.798 0.208 0.252
P 0.917 0.307 0.661
O 0.091 0.525 0.324
O 0.518 0.669 0.324
P 0.232 0.679 0.842
P 0.320 0.910 0.158
O 0.327 0.190 0.671
O 0.341 0.742 0.161
V 0.434 0.006 0.738
O 0.917 0.341 0.160
O 0.021 0.755 0.435
O 0.742 0.919 0.162
O 0.480 0.332 0.675
P 0.092 0.226 0.842
O 0.763 0.230 0.076
O 0.659 0.668 0.969
P 0.682 0.088 0.840
O 0.462 0.616 0.669
V 0.998 0.565 0.753
V 0.998 0.436 0.253
O 0.745 0.014 0.933
O 0.100 0.379 0.821
P 0.088 0.685 0.343
O 0.347 0.911 0.664
O 0.620 0.474 0.179
P 0.658 0.670 0.865
Li 0.316 0.910 0.937
O 0.987 0.800 0.259
O 0.085 0.657 0.834
O 0.258 0.656 0.328
Li 0.225 0.682 0.057
O 0.478 0.903 0.180
P 0.784 0.915 0.659
Li 0.694 0.083 0.055
O 0.815 0.659 0.821
O 0.197 0.006 0.424
O 0.382 0.521 0.823
Li 0.983 0.054 0.504
O 0.183 0.491 0.671
O 0.994 0.209 0.758
O 0.655 0.526 0.819
O 0.335 0.332 0.030
P 0.219 0.083 0.340
O 0.522 0.095 0.815
O 0.515 0.822 0.824
O 0.998 0.209 0.579
O 0.741 0.348 0.668
O 0.338 0.478 0.176
O 0.328 0.345 0.525
O 0.918 0.738 0.665
V 0.440 0.562 0.255
O 0.480 0.181 0.177
O 0.201 0.792 0.582
P 0.668 0.666 0.369
O 0.658 0.256 0.829
O 0.620 0.918 0.668
O 0.906 0.620 0.179
O 0.538 0.382 0.330
O 0.381 0.080 0.330
O 0.008 0.768 0.081
! - E: -7.0542 eV per atom
! - SG: P1
! - Crystal system: triclinic
! - E above lowest polymorph: 8 meV per atom
! - Energy of formation: -2.525 eV per atom

=====

! MgMn6O10F2 (PBE+U, optimized geometry); values from VASP
&SYSTEM
  ibrav = 0, nat = 19, ntyp = 4
/
ATOMIC_SPECIES
O 16.00 O.upf
Mn 54.94 Mn.upf
F 19.00 F.upf
Mg 24.30 Mg.upf
CELL_PARAMETERS angstrom
-5.051 0.408 0.008
-0.407 4.782 -5.832
0.410 -4.813 -2.948
ATOMIC_POSITIONS crystal
O 0.650 0.089 0.838
O 0.338 0.913 0.192
O 0.118 0.219 0.031
O 0.358 0.231 0.491
O 0.139 0.900 0.710
O 0.344 0.577 0.836
Mn 0.997 0.666 0.673
Mn 0.447 0.970 0.547
Mn 0.005 0.337 0.327
Mn 0.562 0.352 0.779
O 0.857 0.756 0.957
Mn 0.515 0.666 0.153
F 0.161 0.591 0.368
F 0.842 0.070 0.303
Mg 0.490 0.162 0.158
O 0.672 0.753 0.479
Mn 0.997 0.984 0.992
O 0.655 0.410 0.133
O 0.867 0.434 0.621
! - E: -6.9588 eV per atom
! - SG: P1
! - Crystal system: triclinic
! - E above lowest polymorph: 18 meV per atom
! - Energy of formation: -2.113 eV per atom

=====

! Mg2Cr2O5 (PBE+U, optimized geometry); values from VASP
&SYSTEM
  ibrav = 0, nat = 18, ntyp = 3
/
ATOMIC_SPECIES
O 16.00 O.upf
Mg 24.30 Mg.upf
Cr 52.00 Cr.upf
CELL_PARAMETERS angstrom
-0.688 -3.635 0.727
3.164 -1.338 -3.695
8.000 -0.134 6.899
ATOMIC_POSITIONS crystal
O 0.000 0.647 0.188
O 0.000 0.853 0.688
O 0.000 0.500 0.500
Mg 0.500 0.243 0.404
O 0.500 0.811 0.400
Mg 0.500 0.743 0.096
O 0.000 0.353 0.812
O 0.000 0.000 0.000
Mg 0.500 0.757 0.596
Mg 0.500 0.257 0.904
O 0.500 0.689 0.900
O 0.500 0.311 0.100
O 0.000 0.147 0.312
O 0.500 0.189 0.600
Cr 0.000 0.264 0.138
Cr 0.000 0.736 0.862
Cr 0.000 0.764 0.362
Cr 0.000 0.236 0.638
! - E: -6.7551 eV per atom
! - SG: Pbam
! - Crystal system: orthorhombic
! - Energy of formation: -2.331 eV per atom

=====

! Li3NiB2O6 (PBE+U, optimized geometry); values from VASP
&SYSTEM
  ibrav = 0, nat = 24, ntyp = 4
/
ATOMIC_SPECIES
Li 6.94 Li.upf
O 16.00 O.upf
B 10.81 B.upf
Ni 58.69 Ni.upf
CELL_PARAMETERS angstrom
4.973 0.000 0.000
0.130 6.661 0.000
0.080 2.815 7.733
ATOMIC_POSITIONS crystal
Li 0.114 0.258 0.161
O 0.199 0.518 0.192
O 0.281 0.649 0.522
Li 0.342 0.403 0.427
Li 0.850 0.565 0.277
B 0.665 0.319 0.921
B 0.851 0.184 0.591
B 0.149 0.816 0.409
O 0.584 0.747 0.120
Li 0.658 0.597 0.573
Ni 0.618 0.959 0.221
O 0.232 0.787 0.915
O 0.130 0.191 0.609
Li 0.150 0.435 0.723
O 0.870 0.809 0.391
Li 0.886 0.742 0.839
O 0.720 0.004 0.700
Ni 0.382 0.041 0.779
O 0.768 0.213 0.085
O 0.416 0.253 0.880
O 0.801 0.482 0.808
O 0.719 0.351 0.478
B 0.335 0.681 0.079
O 0.280 0.996 0.300
! - E: -6.2502 eV per atom
! - SG: P-1
! - Crystal system: triclinic
! - E above lowest polymorph: 28 meV per atom
! - Energy of formation: -2.259 eV per atom

=====

! Li4TiNi3O8 (PBE+U, optimized geometry); values from VASP
&SYSTEM
  ibrav = 0, nat = 32, ntyp = 4
/
ATOMIC_SPECIES
Li 6.94 Li.upf
O 16.00 O.upf
Ti 47.87 Ti.upf
Ni 58.69 Ni.upf
CELL_PARAMETERS angstrom
0.215 -1.550 5.658
10.124 0.260 -0.217
-1.861 5.395 -1.469
ATOMIC_POSITIONS crystal
Li 0.733 0.250 0.498
O 0.644 0.878 0.750
Li 0.264 0.750 0.499
Ti 0.975 0.999 0.972
Li 0.251 0.251 0.505
O 0.611 0.384 0.763
Li 0.000 0.004 0.499
Ni 0.743 0.250 0.998
O 0.112 0.372 0.216
Ni 0.256 0.749 0.002
O 0.398 0.621 0.250
O 0.596 0.874 0.207
Ni 0.489 0.000 0.993
Ni 0.010 0.499 0.006
O 0.129 0.874 0.217
Li 0.499 0.497 0.502
O 0.848 0.108 0.219
Ni 0.754 0.751 0.998
O 0.626 0.381 0.248
Ni 0.245 0.250 0.003
O 0.138 0.887 0.764
O 0.379 0.626 0.783
O 0.141 0.378 0.789
Li 0.756 0.749 0.500
Li 0.494 0.995 0.484
O 0.916 0.625 0.793
O 0.867 0.120 0.753
O 0.374 0.130 0.785
O 0.879 0.614 0.235
O 0.336 0.130 0.224
Ti 0.527 0.501 0.029
Li 0.010 0.503 0.515
! - E: -5.7067 eV per atom
! - SG: P1
! - Crystal system: triclinic
! - E above lowest polymorph: 0 meV per atom
! - Energy of formation: -1.998 eV per atom

=====

! MgVFeP4O14 (PBE+U, optimized geometry); values from VASP
&SYSTEM
  ibrav = 0, nat = 21, ntyp = 5
/
ATOMIC_SPECIES
O 16.00 O.upf
P 30.97 P.upf
Fe 55.84 Fe.upf
V 50.94 V.upf
Mg 24.30 Mg.upf
CELL_PARAMETERS angstrom
-0.197 3.356 -3.786
2.443 -5.779 -5.216
-6.394 -2.961 0.324
ATOMIC_POSITIONS crystal
O 0.385 0.643 0.291
P 0.385 0.194 0.505
O 0.591 0.439 0.908
O 0.107 0.643 0.934
O 0.571 0.181 0.369
O 0.564 0.161 0.732
P 0.245 0.759 0.108
O 0.163 0.061 0.469
Fe 0.806 0.024 0.287
O 0.838 0.565 0.526
O 0.460 0.688 0.659
O 0.270 0.366 0.502
V 0.191 0.493 0.716
P 0.759 0.280 0.895
O 0.016 0.318 0.828
O 0.829 0.179 0.081
O 0.474 0.858 0.060
O 0.712 0.865 0.473
O 0.997 0.845 0.146
Mg 0.705 0.695 0.940
P 0.614 0.693 0.496
! - E: -7.2073 eV per atom
! - SG: P1
! - Crystal system: triclinic
! - E above lowest polymorph: 29 meV per atom
! - Energy of formation: -2.612 eV per atom

=====

! RbDyMo2O8 (PBE+U, optimized geometry); values from VASP
&SYSTEM
  ibrav = 0, nat = 24, ntyp = 4
/
ATOMIC_SPECIES
Rb 85.47 Rb.upf
O 16.00 O.upf
Mo 95.94 Mo.upf
Dy 162.50 Dy.upf
CELL_PARAMETERS angstrom
5.253 5.402 0.000
-5.253 5.402 0.000
0.000 5.095 5.861
ATOMIC_POSITIONS crystal
Rb 0.199 0.801 0.750
O 0.793 0.953 0.692
O 0.633 0.415 0.530
O 0.615 0.765 0.561
O 0.617 0.932 0.124
O 0.383 0.068 0.876
Mo 0.696 0.696 0.763
O 0.068 0.383 0.376
O 0.367 0.585 0.470
Mo 0.304 0.304 0.237
O 0.047 0.207 0.808
O 0.385 0.235 0.439
O 0.932 0.617 0.624
O 0.207 0.047 0.308
O 0.765 0.615 0.061
Mo 0.304 0.304 0.737
O 0.415 0.633 0.030
Dy 0.771 0.229 0.750
O 0.585 0.367 0.970
O 0.953 0.793 0.192
Dy 0.229 0.771 0.250
O 0.235 0.385 0.939
Mo 0.696 0.696 0.263
Rb 0.801 0.199 0.250
! - E: -7.1052 eV per atom
! - SG: C2/c
! - Crystal system: monoclinic
! - Energy of formation: -2.525 eV per atom